DFT (r²SCAN) results for a relaxed structure of LaCuNi4.

Lattice parameters (Å, degrees): 4.992 4.992 3.940 90.00 90.00 120.00
Atoms (fractional coordinates):
La: 0.333 0.667 0.000
Cu: 0.667 0.333 0.000
Ni: 0.000 0.000 0.000
Ni: 0.331 0.166 0.500
Ni: 0.834 0.166 0.500
Ni: 0.834 0.669 0.500

Results
Calculated total energy (eV per atom): -14.981
ΔH_f (0 K) (kJ per mole of atoms): -22.01
M_tot (μB per formula unit): 1.00